A plane-wave DFT calculation with PBE was carried out for a geometry-optimized CeMg2 structure.

Lattice parameters (Å, degrees): 3.1423 3.1423 17.0852 90.00 90.00 120.00
Space group P-6m2 (No. 187)
Symmetry-distinct sites (fractional):
Ce: 0.0000 0.0000 0.1729 x2
Mg: 0.0000 0.0000 0.5000 x1
Mg: 0.6667 0.3333 0.0000 x1
Mg: 0.6667 0.3333 0.3439 x2

Computed properties:
mass density = 4.3 g/cm³
energy relative to the elements = 3 kJ/mol of formula units

A plane-wave DFT calculation with PBE was carried out for a geometry-optimized Mg15Mo structure.

Lattice parameters (Å, degrees): 6.3128 6.3128 10.0832 90.00 90.00 120.00
Space group P-6m2 (No. 187)
Symmetry-distinct sites (fractional):
Mg: 0.0000 0.0000 0.0000 x1
Mg: 0.9998 0.4999 0.5000 x3
Mg: 0.0018 0.5009 0.0000 x3
Mg: 0.1605 0.3210 0.2602 x6
Mg: 0.6667 0.3333 0.2491 x2
Mo: 0.0000 0.0000 0.5000 x1

Computed properties:
mass density = 2.2 g/cm³
energy relative to the elements = 157 kJ/mol of formula units

A plane-wave DFT calculation with PBE was carried out for a geometry-optimized Si structure.

Lattice parameters (Å, degrees): 3.448 10.380 3.478 90.00 90.00 90.00
Space group Cmcm (No. 63)
Symmetry-distinct sites (fractional):
Si: 0.000 0.094 0.250 x4
Si: 0.000 0.335 0.250 x4

Computed properties:
mass density = 3.0 g/cm³
energy above the lowest structure with this stoichiometry = 449 meV per atom
energy relative to the elements = 43 kJ/mol of formula units

A plane-wave DFT calculation with PBE was carried out for a geometry-optimized Zn2Bi6Ru8O27 structure.

Lattice parameters (Å, degrees): 10.300 10.290 10.318 90.00 90.66 90.00
Space group C2 (No. 5)
Symmetry-distinct sites (fractional):
Zn: 0.097 0.000 0.124 x4
Bi: 0.123 0.213 0.370 x4
Bi: 0.124 0.730 0.881 x4
Bi: 0.130 0.464 0.637 x4
Ru: 0.124 0.718 0.375 x4
Ru: 0.125 0.468 0.125 x4
Ru: 0.125 0.966 0.625 x4
Ru: 0.129 0.218 0.873 x4
O: 0.000 0.046 0.500 x2
O: 0.000 0.127 0.000 x2
O: 0.000 0.342 0.500 x2
O: 0.000 0.540 0.000 x2
O: 0.000 0.648 0.500 x2
O: 0.001 0.342 0.210 x4
O: 0.002 0.842 0.712 x4
O: 0.039 0.592 0.249 x4
O: 0.040 0.093 0.749 x4
O: 0.198 0.335 0.007 x4
O: 0.199 0.845 0.498 x4
O: 0.242 0.295 0.743 x4
O: 0.243 0.597 0.064 x4
O: 0.244 0.089 0.217 x4
O: 0.248 0.880 0.751 x4
O: 0.249 0.591 0.446 x4

Computed properties:
mass density = 8.0 g/cm³
corrected total energy (MP2020 scheme) = -6.945 eV per atom
energy relative to the elements = -6268 kJ/mol of formula units